No. 1
## CoNiP (GGA-PBE)

Data for CoNiP after structural relaxation.

Properties
Total DFT energy (no corrections)   -6.6723 eV per atom
SG   P-62m
Energy of formation from the pure elements   -1.715 eV/f.u.

```
9
Lattice="-3.564 -3.351 -3.114 3.105 -2.302 4.323 -2.478 0.656 2.129" Properties=species:S:1:pos:R:3 pbc="T T T"
P 0.882 -2.652 1.844
Ni -2.651 -1.000 -0.170
Co 2.294 -1.701 3.195
P -1.239 0.328 1.065
P -1.341 -3.001 -0.635
Ni -1.516 -3.084 1.794
Co -0.120 -1.475 0.315
Ni -0.009 -0.584 2.778
Co -2.634 -2.476 -2.301
```

***

No. 2
## Mg6Si5 (GGA-PBE)

Data for Mg6Si5 after structural relaxation.

Properties
Energy above the most stable polymorph in this dataset   0.0602 eV per atom
Total DFT energy (no corrections)   -3.2779 eV per atom
SG   P1
Energy of formation from the pure elements   1.026 eV/f.u.

```
22
Lattice="-0.398 3.816 -2.587 -8.048 0.139 -2.092 -4.222 7.180 8.382" Properties=species:S:1:pos:R:3 pbc="T T T"
Mg -8.075 1.016 -2.432
Mg -2.442 3.126 -0.885
Si -6.491 6.465 0.996
Mg -3.315 5.492 5.896
Si -8.646 7.731 4.347
Mg -3.940 3.273 1.779
Mg -7.172 10.320 4.210
Si -8.799 5.822 1.234
Mg -7.288 4.136 -2.102
Mg -5.986 7.395 3.738
Mg -5.191 1.989 -1.777
Mg -3.512 6.342 2.053
Si -9.554 4.701 -0.780
Si -4.998 4.759 3.893
Mg -7.436 3.400 1.245
Si -5.050 9.132 5.696
Si -10.186 7.432 2.347
Mg -10.310 9.914 3.805
Si -4.414 4.642 -2.287
Mg -7.867 5.080 3.807
Si -5.317 4.634 -0.038
Si -1.260 2.099 1.837
```

***

No. 3
## SrLiBO3 (GGA-PBE)

Data for SrLiBO3 after structural relaxation.

Properties
Total DFT energy (no corrections)   -6.8432 eV per atom
SG   P2_1/c
Energy of formation from the pure elements   -17.999 eV/f.u.

```
24
Lattice="-1.302 6.455 1.275 1.223 -1.032 6.472 7.124 0.782 3.316" Properties=species:S:1:pos:R:3 pbc="T T T"
O 0.732 2.442 5.656
B 0.333 2.207 2.263
O 2.128 6.464 4.359
O 3.705 1.895 4.575
O 4.917 -0.259 6.704
O 0.258 0.932 2.804
B 2.835 5.172 7.451
O 3.341 4.311 6.488
Sr 4.801 2.263 6.865
Sr 5.467 6.016 6.188
B 4.210 1.034 3.612
Li 1.698 3.063 7.278
Li 5.348 3.142 3.785
Li 4.861 5.434 9.327
O 1.526 5.006 7.917
Sr 1.578 0.189 4.875
Li 2.185 0.771 1.736
O 6.314 3.763 5.407
O 6.788 5.273 8.259
O 1.571 2.725 1.867
O 5.520 1.200 3.146
B 6.713 3.998 8.800
Sr 2.244 3.942 4.198
O 5.474 3.480 9.196
```

***

No. 4
## Ba3Cl2O2 (GGA-PBE)

Data for Ba3Cl2O2 after structural relaxation.

Properties
Energy above the most stable polymorph in this dataset   0.0508 eV per atom
Total DFT energy (no corrections)   -5.2309 eV per atom
SG   Pnma
Energy of formation from the pure elements   -18.641 eV/f.u.

```
28
Lattice="-3.297 5.213 -1.172 -5.452 -4.091 -2.859 -8.156 -1.258 17.352" Properties=species:S:1:pos:R:3 pbc="T T T"
Ba -10.238 -2.812 7.889
Ba -11.501 1.479 13.711
Ba -10.370 1.212 9.340
O -9.606 1.107 15.125
Ba -9.943 0.622 5.513
Ba -5.404 -1.615 -0.391
Cl -8.371 -0.801 11.578
Cl -3.864 0.150 3.128
O -7.298 -1.242 -1.805
Ba -1.872 0.631 -0.337
O -11.253 3.711 14.540
Ba -4.053 3.521 1.838
Cl -13.041 -0.286 10.193
O -7.922 -3.119 8.404
O -5.652 -3.846 -1.219
Cl -5.173 2.168 -1.032
Cl -9.376 -2.966 4.773
Ba -6.962 -0.758 7.808
Cl -8.534 0.666 1.742
Ba -15.033 -0.767 13.657
Cl -11.732 -2.303 14.352
Cl -7.529 2.831 8.547
Ba -6.666 2.676 5.432
Ba -12.851 -3.656 11.483
O -9.568 -0.515 7.819
O -8.983 2.983 4.916
O -7.336 0.380 5.501
Ba -6.535 -1.348 3.981
```

***

No. 5
## AgBiO2 (GGA-PBE)

Data for AgBiO2 after structural relaxation.

Properties
Total DFT energy (no corrections)   -4.9187 eV per atom
SG   R-3m
Energy of formation from the pure elements   -4.430 eV/f.u.

```
4
Lattice="6.538 -1.842 0.000 6.538 1.842 0.000 6.019 0.000 3.148" Properties=species:S:1:pos:R:3 pbc="T T T"
O 11.609 0.000 1.914
Ag 9.547 0.000 1.574
O 7.485 0.000 1.234
Bi 0.000 0.000 0.000
```

***

No. 6
## Cd4Bi2O7 (GGA-PBE)

Data for Cd4Bi2O7 after structural relaxation.

Properties
Total DFT energy (no corrections)   -4.5091 eV per atom
SG   P1
Energy of formation from the pure elements   -17.320 eV/f.u.

```
52
Lattice="-5.081 -4.495 -6.313 -1.933 -9.852 2.802 -10.464 0.546 1.651" Properties=species:S:1:pos:R:3 pbc="T T T"
Cd -3.394 -2.568 -1.801
Cd -11.457 -4.423 -0.064
Cd -3.371 -4.705 1.367
Cd -9.437 -7.100 0.716
O -16.885 -12.968 -1.340
O -8.856 -2.420 -0.495
Bi -14.100 -8.902 -3.267
O -7.863 -5.912 2.040
Bi -6.691 -3.412 0.106
Cd -5.928 -6.998 0.960
O -11.995 -11.840 -0.972
O -12.792 -7.168 -3.980
O -4.898 -5.631 -4.034
Bi -10.987 -6.913 -2.713
Cd -7.604 -7.984 3.194
Cd -4.499 -0.834 0.906
Cd -8.305 -10.065 0.730
Cd -7.760 -6.492 -1.957
O -4.830 -10.603 -0.122
O -3.107 -6.900 1.927
Cd -4.087 -9.192 1.473
Cd -13.957 -11.022 -0.113
O -9.972 -7.464 -4.655
O -15.469 -10.252 -1.685
Bi -13.320 -4.588 -3.242
O -12.867 -9.228 -1.518
O -5.148 -5.198 -0.046
O -9.782 -8.372 2.888
O -4.692 -8.038 -1.214
Cd -11.045 -10.203 2.146
O -12.684 -3.071 -1.808
Cd -4.460 -5.960 -1.942
Bi -11.563 -7.113 3.377
O -12.574 -8.627 2.118
Bi -10.692 -10.263 -1.690
O -9.692 -5.682 -1.055
Bi -6.178 -3.580 -4.129
O -12.785 -5.878 -1.220
O -2.133 -3.634 -0.315
Cd -6.314 -6.861 -5.140
O -7.512 -8.107 -0.252
Cd -9.357 -3.600 -2.296
O -7.172 -4.403 -2.280
O -8.878 -11.292 -1.066
O -5.423 -1.875 -0.949
Cd -12.872 -7.741 0.128
O -7.415 -4.758 -5.534
Bi -6.192 -9.463 -1.726
O -10.424 -9.186 0.133
O -11.041 -5.863 1.721
O -7.095 -8.065 -3.371
O -10.798 -4.919 -3.556
```

***

No. 7
## HfTiO4 (GGA-PBE)

Data for HfTiO4 after structural relaxation.

Properties
Total DFT energy (no corrections)   -9.5288 eV per atom
SG   P2_12_12
Energy of formation from the pure elements   -22.276 eV/f.u.

```
12
Lattice="4.753 0.000 0.000 0.000 5.103 0.000 0.000 0.000 5.663" Properties=species:S:1:pos:R:3 pbc="T T T"
O 1.044 1.722 0.833
Ti 2.377 0.000 3.226
O 3.638 0.893 2.114
Hf 0.000 0.000 0.440
O 3.421 0.830 4.831
Hf 2.377 2.552 5.223
O 1.332 4.273 4.831
O 3.709 3.381 0.833
O 1.262 1.659 3.550
O 3.491 3.444 3.550
Ti 0.000 2.552 2.437
O 1.115 4.211 2.114
```

***

No. 8
## K2Re3TeC3S3N3 (GGA-PBE)

Data for K2Re3TeC3S3N3 after structural relaxation.

Properties
Total DFT energy (no corrections)   -7.5834 eV per atom
SG   Ia-3
Energy of formation from the pure elements   -8.540 eV/f.u.

```
120
Lattice="-7.212 -1.586 13.468 14.990 -2.784 1.860 -1.941 14.325 -5.192" Properties=species:S:1:pos:R:3 pbc="T T T"
C 3.892 11.533 -0.948
Re -0.520 8.075 -1.019
Re 3.394 4.883 3.256
Re 10.664 -2.007 7.863
N 3.421 11.166 0.068
K 7.949 5.402 2.636
C 1.946 -1.578 11.084
S 1.591 6.465 2.878
N 8.999 5.262 -0.080
C 10.159 5.088 -0.193
K 6.525 5.770 -1.666
S 5.667 0.073 2.741
K 0.524 12.508 -1.830
S -2.044 1.526 5.756
S 7.881 8.429 4.381
C -1.212 1.394 9.013
K -6.123 10.210 6.018
C -0.012 9.175 0.681
N -4.302 -0.984 13.207
C -2.674 8.098 7.177
N 13.799 -0.050 1.865
C 1.818 5.169 8.870
N 2.669 10.081 4.506
C 4.019 4.785 1.266
N 4.406 4.724 0.154
K 0.000 0.000 0.000
N 3.169 -0.126 5.630
C 3.130 1.039 5.457
Re 1.104 4.846 4.611
S 8.660 -1.305 3.652
Te 8.128 -2.972 8.190
Re 3.031 3.109 5.207
S -3.033 -1.229 9.607
N 1.432 5.230 9.982
S 10.115 -0.013 0.841
S 0.737 6.641 6.184
N 10.139 10.939 -3.070
S -2.075 9.779 -1.755
K 3.495 8.299 0.593
S 0.950 6.198 -0.557
S 8.871 11.184 0.529
Te -2.537 6.818 0.330
S 7.913 0.176 11.892
S -4.357 1.625 8.271
S 0.171 9.881 7.395
C -4.088 10.161 3.030
N -3.161 4.693 10.216
S -4.277 9.967 9.296
K 6.710 0.948 5.960
Te 5.976 9.820 -3.134
Re 4.734 5.109 5.526
C 13.802 0.969 1.272
Re -2.097 9.789 8.258
S 0.941 3.237 6.422
N -0.541 2.037 9.737
C -7.964 8.986 8.864
C 6.756 5.154 6.041
Re 10.119 -3.528 9.978
S 5.100 3.313 3.952
C 7.050 8.560 1.124
Re -1.363 -2.226 13.904
C -3.235 -1.428 13.437
N -7.961 10.005 8.272
N 2.417 -1.211 10.068
K 3.889 -2.185 7.664
Te 1.651 2.815 2.866
Re 1.082 -2.276 12.852
C 8.511 1.856 2.959
C 5.850 0.779 9.456
N 8.870 2.798 3.570
K -2.112 4.553 7.500
Te -6.615 5.921 7.947
Re 12.202 4.738 -0.439
C -0.919 4.800 4.095
Te -0.349 -1.398 7.138
S -2.822 11.259 6.485
Re 8.277 9.713 2.358
N 6.379 7.917 0.399
N 9.525 0.827 6.706
N -3.688 9.127 3.430
Te 4.187 7.140 7.270
C 9.072 11.382 -3.300
N 7.896 5.146 6.342
Re 2.443 5.072 6.881
S 4.888 3.756 10.694
S 1.233 9.120 -2.309
Re 7.200 12.180 -3.767
Re 13.870 2.772 0.223
Re -6.365 5.217 10.576
Re 7.935 0.166 1.879
N 0.269 9.826 1.622
S 4.604 0.834 12.446
C -2.914 13.511 -1.419
K 11.961 -0.255 4.118
K 10.229 8.407 -1.628
K -0.872 9.006 4.176
N -2.151 13.561 -2.316
N 7.989 -3.606 12.453
N -3.033 7.157 6.566
Re -4.826 11.961 2.274
K 2.343 1.655 9.544
C -4.321 4.866 10.330
Re -4.281 13.482 0.158
K 5.314 -2.554 11.966
Re 6.358 1.879 11.156
C 9.925 -0.206 7.107
Re -8.033 7.183 9.914
N 5.569 0.128 8.515
S 4.896 6.718 3.714
K -4.391 1.548 11.764
S 10.195 8.329 1.866
Re 2.807 6.845 4.930
C 2.708 8.915 4.679
S 4.247 3.490 7.258
C 8.751 -3.556 11.555
Re 4.756 12.230 -2.716
Re -2.440 0.242 7.779
Te 7.073 1.720 -0.198
K -4.576 6.370 4.138
N -2.058 4.808 3.794
```